[1]
Na2Sc8SiS11O48 | PBE | optimized geometry

Computed properties:
**Total energy**: -1477.7 eV for the cell shown
**DFT formation energy**: -2626 meV per atom
**SG**: P1, No. 1
**Corrected total energy (MP2020 scheme)**: -1576.65 eV for the cell shown

Cell lengths 8.8698, 15.3638, 23.0767 Å; angles 89.97, 90.00, 89.97 degrees
With the nearest neighbours (Å) after each atom.
Sites, in units of the cell vectors:
Na  0.0000  0.0000  0.0000  6 O 2.48-2.78
Na  0.0013  0.0013  0.5058  5 O 2.47-2.72
Na  0.5041  0.4955  0.5037  6 O 2.64-2.70
Na  0.5059  0.4993  0.0045  6 O 2.54-2.73
Na  0.5089  0.1641  0.6698  6 O 2.56-2.72
Na  0.9978  0.6640  0.1661  5 O 2.47-2.75
Sc  0.0002  0.0025  0.6500  3 O 1.93-2.07
Sc  0.9998  0.3225  0.4841  1 O 1.88
Sc  0.0012  0.0019  0.8581  3 O 1.91-2.12
Sc  0.0043  0.3288  0.1891  6 O 2.07-2.15
Sc  0.0035  0.6623  0.5260  6 O 2.05-2.15
Sc  0.0041  0.9979  0.1498  6 O 2.09-2.13
Sc  0.0050  0.6632  0.3176  6 O 2.07-2.13
Sc  0.0062  0.6647  0.8150  6 O 2.07-2.13
Sc  0.0062  0.9983  0.3539  6 O 2.04-2.17
Sc  0.5011  0.1634  0.3139  6 O 2.06-2.16
Sc  0.5012  0.4951  0.3535  6 O 2.04-2.19
Sc  0.5016  0.4960  0.8556  6 O 2.07-2.13
Sc  0.5018  0.8303  0.6939  6 O 2.03-2.18
Sc  0.5029  0.4964  0.6530  6 O 2.04-2.18
Sc  0.5051  0.8308  0.4820  6 O 2.09-2.12
Sc  0.5076  0.5008  0.1469  4 O 1.91-2.14
Sc  0.5086  0.8241  0.9829  3 O 1.90-2.13
Sc  0.5123  0.1636  0.8215  1 O 1.86
Sc  0.5124  0.8262  0.1875  1 O 1.88
Sc  0.5137  0.1648  0.5247  3 O 1.91-2.12
Sc  0.5153  0.1611  0.0215  1 O 1.87
Sc  0.9930  0.6640  0.0239  3 O 1.92-2.09
Sc  0.9954  0.3241  0.6901  3 O 1.90-2.11
Sc  0.9980  0.3251  0.9779  1 O 1.85
Si  0.6496  0.6848  0.0861  4 O 1.62-1.64
Si  0.7953  0.1622  0.9200  4 O 1.61-1.64
Si  0.8587  0.1837  0.5867  4 O 1.62-1.65
S  0.1484  0.5179  0.4202  4 O 1.45-1.50
S  0.1482  0.8085  0.4204  4 O 1.47-1.49
S  0.1475  0.8522  0.7530  4 O 1.46-1.49
S  0.1486  0.4741  0.0861  4 O 1.45-1.50
S  0.1502  0.1851  0.0863  4 O 1.46-1.51
S  0.1519  0.1424  0.7529  4 O 1.47-1.49
S  0.2123  0.4960  0.7531  4 O 1.45-1.50
S  0.2139  0.8307  0.0864  4 O 1.46-1.50
S  0.2148  0.1631  0.4196  4 O 1.47-1.51
S  0.2934  0.3311  0.5866  4 O 1.46-1.51
S  0.2931  0.6633  0.9197  4 O 1.46-1.50
S  0.2944  0.9959  0.2529  4 O 1.45-1.50
S  0.3583  0.3518  0.2523  4 O 1.46-1.50
S  0.3579  0.6424  0.2532  4 O 1.46-1.50
S  0.3590  0.0169  0.9204  4 O 1.46-1.49
S  0.3590  0.3093  0.9202  4 O 1.46-1.51
S  0.3588  0.9738  0.5864  4 O 1.47-1.49
S  0.3601  0.6855  0.5861  4 O 1.47-1.49
S  0.6484  0.3090  0.4190  4 O 1.46-1.51
S  0.6484  0.3516  0.7530  4 O 1.46-1.50
S  0.6494  0.0182  0.4194  4 O 1.47-1.49
S  0.6493  0.6414  0.7532  4 O 1.47-1.49
S  0.6486  0.9752  0.0866  4 O 1.47-1.51
S  0.7122  0.9968  0.7527  4 O 1.46-1.49
S  0.7140  0.3295  0.0864  4 O 1.46-1.50
S  0.7136  0.6630  0.4202  4 O 1.47-1.49
S  0.7924  0.8295  0.5862  4 O 1.47-1.49
S  0.7950  0.4966  0.2529  4 O 1.47-1.50
S  0.8583  0.1420  0.2529  4 O 1.47-1.49
S  0.8581  0.4749  0.5863  4 O 1.46-1.50
S  0.8585  0.5188  0.9191  4 O 1.45-1.50
S  0.8586  0.8518  0.2533  4 O 1.45-1.50
S  0.8595  0.8084  0.9191  4 O 1.46-1.49
O  0.0784  0.2243  0.0352  1 S 1.47
O  0.0787  0.0969  0.0949  1 S 1.51
O  0.0785  0.7677  0.4720  1 S 1.48
O  0.0795  0.8912  0.7005  1 S 1.48
O  0.0797  0.8963  0.4127  1 S 1.49
O  0.0810  0.4342  0.1392  1 S 1.50
O  0.0818  0.4328  0.4280  1 S 1.45
O  0.0823  0.5628  0.0806  1 S 1.49
O  0.0821  0.7640  0.7619  1 S 1.49
O  0.0831  0.1017  0.8044  1 S 1.47
O  0.0835  0.2287  0.7448  1 S 1.47
O  0.0832  0.5606  0.3678  1 S 1.49
O  0.1136  0.9088  0.0942  1 S 1.50
O  0.1155  0.0845  0.4118  1 S 1.51
O  0.1171  0.7522  0.0798  1 S 1.49
O  0.1189  0.2385  0.1392  1 S 1.50
O  0.1193  0.4201  0.7440  1 S 1.45
O  0.1193  0.5751  0.7620  1 S 1.48
O  0.1203  0.2409  0.4260  1 S 1.47
O  0.1212  0.7548  0.3680  1 S 1.48
O  0.1221  0.4218  0.0346  1 S 1.45
O  0.1243  0.0872  0.7007  1 S 1.49
O  0.1235  0.5746  0.4717  1 S 1.49
O  0.1244  0.9059  0.8046  1 S 1.46
O  0.1904  0.6508  0.2615  1 S 1.50
O  0.1929  0.0070  0.9127  1 S 1.49
O  0.1934  0.9816  0.5926  1 S 1.48
O  0.1939  0.3424  0.2446  1 S 1.48
O  0.1964  0.0118  0.2018  1 S 1.49
O  0.1958  0.6758  0.5769  1 S 1.48
O  0.1963  0.9833  0.3052  1 S 1.50
O  0.1968  0.3210  0.9284  1 S 1.46
O  0.1978  0.6746  0.8673  1 S 1.49
O  0.1998  0.6478  0.9717  1 S 1.48
O  0.2025  0.3185  0.6386  1 S 1.46
O  0.2031  0.3466  0.5337  1 S 1.48
O  0.3041  0.8463  0.0343  1 S 1.46
O  0.3051  0.8179  0.1392  1 S 1.48
O  0.3077  0.1477  0.4716  1 S 1.47
O  0.3100  0.1746  0.3673  1 S 1.48
O  0.3113  0.4833  0.8047  1 S 1.49
O  0.3108  0.5119  0.7012  1 S 1.50
O  0.3123  0.1751  0.0791  1 S 1.46
O  0.3122  0.8176  0.4288  1 S 1.47
O  0.3128  0.8412  0.7431  1 S 1.49
O  0.3141  0.4830  0.0942  1 S 1.49
O  0.3163  0.5104  0.4125  1 S 1.50
O  0.3172  0.1512  0.7591  1 S 1.48
O  0.3805  0.0730  0.9721  1 S 1.48
O  0.3809  0.5868  0.2020  1 S 1.47
O  0.3835  0.2567  0.8674  1 S 1.48
O  0.3849  0.4067  0.3052  1 S 1.50
O  0.3864  0.7387  0.6379  1 S 1.47
O  0.3871  0.7408  0.9261  1 S 1.46
O  0.3878  0.0747  0.2627  1 S 1.48
O  0.3877  0.9203  0.5338  1 S 1.49
O  0.3886  0.9196  0.2449  1 S 1.45
O  0.3901  0.2527  0.5792  1 S 1.49
O  0.3919  0.5846  0.9118  1 S 1.50
O  0.3942  0.4094  0.5933  1 S 1.51
O  0.4235  0.0579  0.8678  1 S 1.48
O  0.4232  0.7288  0.2464  1 S 1.46
O  0.4245  0.6005  0.3056  1 S 1.49
O  0.4254  0.0615  0.5792  1 S 1.48
O  0.4261  0.2651  0.2631  1 S 1.48
O  0.4272  0.9335  0.6382  1 S 1.47
O  0.4280  0.5970  0.5929  1 S 1.49
O  0.4277  0.9312  0.9290  1 S 1.46
O  0.4285  0.2703  0.9720  1 S 1.47
O  0.4288  0.3918  0.2017  1 S 1.46
O  0.4286  0.7257  0.5337  1 S 1.49
O  0.4297  0.3978  0.9121  1 S 1.51
O  0.5739  0.5879  0.0936  1 Si 1.64
O  0.5736  0.7294  0.0296  1 Si 1.62
O  0.5765  0.2650  0.7579  1 S 1.48
O  0.5776  0.2702  0.4711  1 S 1.48
O  0.5781  0.3976  0.4117  1 S 1.51
O  0.5788  0.6009  0.8046  1 S 1.48
O  0.5800  0.3938  0.7006  1 S 1.50
O  0.5805  0.0616  0.0798  1 S 1.47
O  0.5806  0.7277  0.7436  1 S 1.48
O  0.5823  0.0584  0.3674  1 S 1.47
O  0.5816  0.9312  0.4284  1 S 1.48
O  0.5831  0.9353  0.1392  1 S 1.48
O  0.6129  0.0741  0.7583  1 S 1.48
O  0.6163  0.4076  0.0945  1 S 1.49
O  0.6160  0.5848  0.4125  1 S 1.49
O  0.6167  0.9187  0.7433  1 S 1.48
O  0.6177  0.2529  0.0796  1 S 1.46
O  0.6180  0.4059  0.8048  1 S 1.48
O  0.6177  0.7404  0.4287  1 S 1.47
O  0.6193  0.2549  0.3673  1 S 1.48
O  0.6204  0.7438  0.1438  1 Si 1.63
O  0.6225  0.5866  0.7009  1 S 1.49
O  0.6245  0.0722  0.4715  1 S 1.48
O  0.6256  0.9214  0.0346  1 S 1.47
O  0.6751  0.1736  0.5791  1 Si 1.65
O  0.6892  0.1463  0.9766  1 Si 1.63
O  0.6905  0.1780  0.8629  1 Si 1.63
O  0.6907  0.4861  0.5934  1 S 1.50
O  0.6913  0.5096  0.9117  1 S 1.50
O  0.6947  0.1508  0.2626  1 S 1.47
O  0.6965  0.8181  0.9266  1 S 1.46
O  0.6961  0.8437  0.2469  1 S 1.45
O  0.6968  0.8435  0.5337  1 S 1.49
O  0.6982  0.8159  0.6378  1 S 1.47
O  0.7004  0.4840  0.3055  1 S 1.49
O  0.7007  0.5123  0.2017  1 S 1.47
O  0.8050  0.9821  0.8042  1 S 1.46
O  0.8069  0.0106  0.7004  1 S 1.49
O  0.8077  0.6765  0.3679  1 S 1.48
O  0.8087  0.3459  0.0352  1 S 1.47
O  0.8093  0.6486  0.4718  1 S 1.48
O  0.8099  0.3176  0.1391  1 S 1.50
O  0.8110  0.3198  0.4266  1 S 1.46
O  0.8112  0.3451  0.7460  1 S 1.46
O  0.8128  0.6508  0.7617  1 S 1.47
O  0.8158  0.0078  0.4119  1 S 1.49
O  0.8166  0.9846  0.0946  1 S 1.51
O  0.8331  0.6738  0.0799  1 Si 1.64
O  0.8818  0.5736  0.9713  1 S 1.49
O  0.8828  0.4220  0.5336  1 S 1.48
O  0.8843  0.0864  0.2016  1 S 1.48
O  0.8873  0.2446  0.6430  1 Si 1.62
O  0.8873  0.7532  0.8673  1 S 1.49
O  0.8879  0.7516  0.5765  1 S 1.48
O  0.8898  0.9054  0.3056  1 S 1.49
O  0.8913  0.4196  0.2449  1 S 1.47
O  0.8911  0.9064  0.5926  1 S 1.48
O  0.8924  0.5753  0.2613  1 S 1.50
O  0.8992  0.2473  0.9297  1 Si 1.61
O  0.9022  0.0758  0.9128  1 Si 1.64
O  0.9242  0.5605  0.8671  1 S 1.48
O  0.9246  0.5630  0.5767  1 S 1.49
O  0.9258  0.4378  0.6382  1 S 1.46
O  0.9268  0.2283  0.2444  1 S 1.47
O  0.9265  0.4336  0.9274  1 S 1.45
O  0.9280  0.1010  0.3050  1 S 1.49
O  0.9288  0.7636  0.2610  1 S 1.50
O  0.9290  0.7681  0.9713  1 S 1.49
O  0.9293  0.8915  0.2015  1 S 1.48
O  0.9303  0.8948  0.9121  1 S 1.48
O  0.9330  0.2284  0.5293  1 Si 1.63
O  0.9340  0.0866  0.5930  1 Si 1.64

=====

[2]
Rb2CuBrCl3 | PBE | optimized geometry

Computed properties:
**Total energy**: -44.7 eV for the cell shown
**DFT formation energy**: -1561 meV per atom
**SG**: Aea2, No. 41
**Corrected total energy (MP2020 scheme)**: -48.34 eV for the cell shown

Cell lengths 7.3063, 8.8926, 8.8926 Å; angles 48.47, 90.00, 90.00 degrees
With the nearest neighbours (Å) after each atom.
Sites, in units of the cell vectors:
Rb  0.0000  0.0000  0.0000  8 Cl 3.37-3.66, 1 Br 3.45
Rb  0.0000  0.2706  0.2706  5 Cl 3.43-3.47, 4 Br 3.66
Rb  0.5000  0.5000  0.5000  8 Cl 3.37-3.66, 1 Br 3.45
Rb  0.5000  0.7706  0.7706  5 Cl 3.43-3.47, 4 Br 3.66
Cu  0.0000  0.6300  0.6300  3 Cl 2.27-2.36
Cu  0.5000  0.1300  0.1300  3 Cl 2.27-2.36
Br  0.0000  0.7874  0.7874  1 Cu 2.55
Br  0.5000  0.2874  0.2874  1 Cu 2.55
Cl  0.0000  0.4848  0.4848  1 Cu 2.36
Cl  0.2190  0.8526  0.4132  1 Cu 2.27
Cl  0.2810  0.3526  0.9132  1 Cu 2.27
Cl  0.5000  0.9848  0.9848  1 Cu 2.36
Cl  0.7190  0.9132  0.3526  1 Cu 2.27
Cl  0.7810  0.4132  0.8526  1 Cu 2.27

=====

[3]
Mg6NbSiO8 | PBE | optimized geometry

Computed properties:
**Total energy**: -98.1 eV for the cell shown
**DFT formation energy**: -2428 meV per atom
**SG**: P4/mmm, No. 123
**Corrected total energy (MP2020 scheme)**: -103.56 eV for the cell shown

Cell lengths 4.3608, 4.3608, 8.8181 Å; angles 90.00, 90.00, 90.00 degrees
With the nearest neighbours (Å) after each atom.
Sites, in units of the cell vectors:
Mg  0.0000  0.0000  0.0000  6 O 2.18-2.20
Mg  0.0000  0.0000  0.5000  6 O 2.18-2.21
Mg  0.0000  0.5000  0.2480  6 O 2.18-2.22
Mg  0.0000  0.5000  0.7520  6 O 2.18-2.22
Mg  0.5000  0.0000  0.2480  6 O 2.18-2.22
Mg  0.5000  0.0000  0.7520  6 O 2.18-2.22
Nb  0.5000  0.5000  0.5000  6 O 2.18-2.26
Si  0.5000  0.5000  0.0000  6 O 2.14-2.18
O  0.0000  0.0000  0.2498  6 Mg 2.18-2.21
O  0.0000  0.0000  0.7502  6 Mg 2.18-2.21
O  0.0000  0.5000  0.0000  4 Mg 2.18-2.19, 2 Si 2.18
O  0.0000  0.5000  0.5000  2 Nb 2.18, 4 Mg 2.18-2.22
O  0.5000  0.0000  0.0000  4 Mg 2.18-2.19, 2 Si 2.18
O  0.5000  0.0000  0.5000  2 Nb 2.18, 4 Mg 2.18-2.22
O  0.5000  0.5000  0.2432  1 Si 2.14, 4 Mg 2.18, 1 Nb 2.26
O  0.5000  0.5000  0.7568  1 Si 2.14, 4 Mg 2.18, 1 Nb 2.26